Record 1
Fe2Pb3F12 (meta-GGA r2SCAN, optimized geometry); SG = P-1; calculated total energy = -16.415 eV/atom
1.0
7.3456 0.0000 0.0000
-0.7181 7.5212 0.0000
-3.0577 -3.6351 8.5881
Fe Pb F
4 6 24
Direct
0.0051 0.2058 0.2927
0.3327 0.2674 0.0682
0.6673 0.7326 0.9318
0.9949 0.7942 0.7073
0.1927 0.3163 0.7010
0.2252 0.7802 0.1149
0.4106 0.7624 0.5299
0.5894 0.2376 0.4701
0.7748 0.2198 0.8851
0.8073 0.6837 0.2990
0.1111 0.2357 0.1396
0.1148 0.8588 0.5757
0.1405 0.6736 0.2948
0.1575 0.0436 0.8741
0.1729 0.4204 0.9722
0.1792 0.6498 0.7729
0.1823 0.4210 0.4727
0.2033 0.0645 0.3424
0.4428 0.0978 0.1566
0.4747 0.4882 0.2533
0.4838 0.1125 0.6417
0.4870 0.2976 0.9515
0.5130 0.7024 0.0485
0.5162 0.8875 0.3583
0.5253 0.5118 0.7467
0.5572 0.9022 0.8434
0.7967 0.9355 0.6576
0.8177 0.5790 0.5273
0.8208 0.3502 0.2271
0.8271 0.5796 0.0278
0.8425 0.9564 0.1259
0.8595 0.3264 0.7052
0.8852 0.1412 0.4243
0.8889 0.7643 0.8604

Record 2
RbFe2F6 (meta-GGA r2SCAN, optimized geometry); SG = Pnma; calculated total energy = -9.517 eV/atom
1.0
6.9590 0.0000 0.0000
0.0000 7.4103 0.0000
0.0000 0.0000 10.0670
Rb Fe F
4 8 24
Direct
0.0039 0.2500 0.1274
0.4961 0.7500 0.6274
0.5039 0.2500 0.3726
0.9961 0.7500 0.8726
0.0000 0.0000 0.5000
0.0000 0.5000 0.5000
0.1967 0.2500 0.7703
0.3033 0.7500 0.2703
0.5000 0.0000 0.0000
0.5000 0.5000 0.0000
0.6967 0.2500 0.7297
0.8033 0.7500 0.2297
0.0702 0.2500 0.4527
0.0716 0.7500 0.1585
0.1300 0.0202 0.6755
0.1300 0.4798 0.6755
0.2446 0.5726 0.4203
0.2446 0.9274 0.4203
0.2554 0.0726 0.9203
0.2554 0.4274 0.9203
0.3700 0.5202 0.1755
0.3700 0.9798 0.1755
0.4284 0.2500 0.6585
0.4298 0.7500 0.9527
0.5702 0.2500 0.0473
0.5716 0.7500 0.3415
0.6300 0.0202 0.8245
0.6300 0.4798 0.8245
0.7446 0.5726 0.0797
0.7446 0.9274 0.0797
0.7554 0.0726 0.5797
0.7554 0.4274 0.5797
0.8700 0.5202 0.3245
0.8700 0.9798 0.3245
0.9284 0.2500 0.8415
0.9298 0.7500 0.5473

Record 3
Tl3FeF6 (meta-GGA r2SCAN, optimized geometry); SG = Fm-3m; calculated total energy = -21.455 eV/atom
1.0
0.0000 4.5183 4.5183
4.5183 0.0000 4.5183
4.5183 4.5183 0.0000
Tl Fe F
3 1 6
Direct
0.0000 0.0000 0.0000
0.2500 0.2500 0.2500
0.7500 0.7500 0.7500
0.5000 0.5000 0.5000
0.2860 0.2860 0.7140
0.2860 0.7140 0.2860
0.2860 0.7140 0.7140
0.7140 0.2860 0.2860
0.7140 0.2860 0.7140
0.7140 0.7140 0.2860

Record 4
ZrFeF6 (meta-GGA r2SCAN, optimized geometry); SG = R-3; calculated total energy = -10.360 eV/atom
1.0
2.8159 1.6257 4.5816
-2.8159 1.6257 4.5816
0.0000 -3.2515 4.5816
Zr Fe F
1 1 6
Direct
0.0000 0.0000 0.0000
0.5000 0.5000 0.5000
0.1733 0.7573 0.3226
0.2427 0.6774 0.8267
0.3226 0.1733 0.7573
0.6774 0.8267 0.2427
0.7573 0.3226 0.1733
0.8267 0.2427 0.6774

Record 5
GaF3 (meta-GGA r2SCAN, optimized geometry); SG = R-3c; calculated total energy = -8.064 eV/atom
1.0
2.4530 1.4162 4.3913
-2.4530 1.4162 4.3913
0.0000 -2.8325 4.3913
Ga F
2 6
Direct
0.0000 0.0000 0.0000
0.5000 0.5000 0.5000
0.1238 0.7500 0.3762
0.2500 0.6238 0.8762
0.3762 0.1238 0.7500
0.6238 0.8762 0.2500
0.7500 0.3762 0.1238
0.8762 0.2500 0.6238

Record 6
Li3GaF6 (meta-GGA r2SCAN, optimized geometry); SG = C2/c; calculated total energy = -6.830 eV/atom
1.0
7.0932 -4.2615 0.0000
7.0932 4.2615 0.0000
-0.9621 0.0000 9.8343
Li Ga F
18 6 36
Direct
0.0071 0.7079 0.2300
0.0601 0.3441 0.4328
0.1263 0.5358 0.9500
0.1879 0.8121 0.7500
0.2921 0.9929 0.2700
0.3277 0.6324 0.4671
0.3441 0.0601 0.9328
0.3676 0.6723 0.0329
0.4642 0.8737 0.5500
0.5358 0.1263 0.4500
0.6324 0.3277 0.9671
0.6559 0.9399 0.0672
0.6723 0.3676 0.5329
0.7079 0.0071 0.7300
0.8121 0.1879 0.2500
0.8737 0.4642 0.0500
0.9399 0.6559 0.5672
0.9929 0.2921 0.7700
0.0000 0.0000 0.0000
0.0000 0.0000 0.5000
0.3355 0.3416 0.7070
0.3416 0.3355 0.2070
0.6584 0.6645 0.7930
0.6645 0.6584 0.2930
0.0676 0.0793 0.1683
0.0793 0.0676 0.6683
0.0857 0.7592 0.0630
0.0931 0.7605 0.5665
0.1039 0.4164 0.6106
0.1073 0.4283 0.1137
0.2275 0.2724 0.8426
0.2395 0.9069 0.9335
0.2408 0.9143 0.4370
0.2421 0.5609 0.3086
0.2489 0.5695 0.8068
0.2724 0.2275 0.3426
0.4121 0.4275 0.0657
0.4164 0.1039 0.1106
0.4283 0.1073 0.6137
0.4275 0.4121 0.5657
0.4305 0.7511 0.6932
0.4391 0.7579 0.1914
0.5609 0.2421 0.8086
0.5695 0.2489 0.3068
0.5725 0.5879 0.4343
0.5717 0.8927 0.3863
0.5836 0.8961 0.8894
0.5879 0.5725 0.9343
0.7276 0.7725 0.6574
0.7511 0.4305 0.1932
0.7579 0.4391 0.6914
0.7592 0.0857 0.5630
0.7605 0.0931 0.0665
0.7725 0.7276 0.1574
0.8927 0.5717 0.8863
0.8961 0.5836 0.3894
0.9069 0.2395 0.4335
0.9143 0.2408 0.9370
0.9207 0.9324 0.3317
0.9324 0.9207 0.8317

Record 7
Tl3GaF6 (meta-GGA r2SCAN, optimized geometry); SG = Fm-3m; calculated total energy = -21.286 eV/atom
1.0
0.0000 4.4897 4.4897
4.4897 0.0000 4.4897
4.4897 4.4897 0.0000
Tl Ga F
3 1 6
Direct
0.0000 0.0000 0.0000
0.2500 0.2500 0.2500
0.7500 0.7500 0.7500
0.5000 0.5000 0.5000
0.2885 0.2885 0.7115
0.2885 0.7115 0.2885
0.2885 0.7115 0.7115
0.7115 0.2885 0.2885
0.7115 0.2885 0.7115
0.7115 0.7115 0.2885

Record 8
K3GdF6 (meta-GGA r2SCAN, optimized geometry); SG = P2_1/c; calculated total energy = -11.533 eV/atom
1.0
6.3210 0.0000 0.0000
0.0000 6.6107 0.0000
-6.0583 0.0000 8.9812
K Gd F
6 2 12
Direct
0.0000 0.0000 0.0000
0.0000 0.5000 0.5000
0.2217 0.0571 0.7423
0.2217 0.4429 0.2424
0.7783 0.5571 0.7577
0.7783 0.9429 0.2576
0.5000 0.0000 0.5000
0.5000 0.5000 0.0000
0.1635 0.1791 0.4480
0.1635 0.3209 0.9480
0.2471 0.7288 0.4207
0.2471 0.7712 0.9207
0.3966 0.0674 0.2717
0.3966 0.4326 0.7717
0.6034 0.5674 0.2283
0.6034 0.9326 0.7283
0.7529 0.2288 0.0793
0.7529 0.2712 0.5793
0.8365 0.6791 0.0520
0.8365 0.8209 0.5520